1.
Computed, not measured: a relaxed structure of V2OF5 at the meta-GGA r2SCAN level of DFT.

Cell and atoms, written as POSCAR:
```
V2OF5
1.0
5.108 0.000 0.000
2.547 4.663 0.000
0.143 0.449 12.510
V O F
6 3 15
direct
0.000 0.000 0.000
0.005 0.012 0.488
0.297 0.376 0.159
0.321 0.352 0.664
0.635 0.698 0.332
0.689 0.665 0.821
0.089 0.668 0.082
0.254 0.883 0.388
0.941 0.536 0.724
0.060 0.483 0.286
0.125 0.137 0.119
0.191 0.229 0.544
0.264 0.687 0.584
0.391 0.828 0.942
0.395 0.007 0.743
0.465 0.472 0.784
0.541 0.540 0.214
0.586 0.022 0.247
0.601 0.196 0.050
0.707 0.356 0.415
0.737 0.147 0.612
0.778 0.820 0.451
0.856 0.899 0.878
0.921 0.365 0.925
```

Calculated values
- Symmetry: P1, No. 1

---

2.
Computed, not measured: a relaxed structure of V3O4F2 at the meta-GGA r2SCAN level of DFT.

Cell and atoms, written as POSCAR:
```
V3O4F2
1.0
4.597 0.000 0.000
0.000 13.711 0.000
0.000 0.000 2.996
V O F
6 8 4
direct
0.000 0.000 0.000
0.056 0.325 0.000
0.444 0.825 0.500
0.500 0.500 0.500
0.556 0.175 0.500
0.944 0.675 0.000
0.190 0.933 0.500
0.232 0.264 0.500
0.268 0.764 0.000
0.310 0.433 0.000
0.690 0.567 0.000
0.732 0.236 0.000
0.768 0.736 0.500
0.810 0.067 0.500
0.178 0.602 0.500
0.322 0.102 0.000
0.678 0.898 0.000
0.822 0.398 0.500
```

Calculated values
- Symmetry: Pnnm, No. 58

---

3.
Computed, not measured: a relaxed structure of V4O7F5 at the meta-GGA r2SCAN level of DFT.

Cell and atoms, written as POSCAR:
```
V4O7F5
1.0
5.068 0.000 0.000
-0.024 5.245 0.000
-0.034 -0.402 7.218
V O F
4 7 5
direct
0.000 0.000 0.000
0.011 0.988 0.513
0.499 0.488 0.024
0.572 0.487 0.520
0.334 0.227 0.956
0.443 0.520 0.247
0.630 0.512 0.744
0.745 0.819 0.038
0.752 0.229 0.450
0.830 0.729 0.450
0.957 0.017 0.742
0.138 0.020 0.250
0.244 0.325 0.540
0.245 0.721 0.943
0.339 0.825 0.540
0.836 0.329 0.051
```

Calculated values
- Symmetry: P1, No. 1

---

4.
Computed, not measured: a relaxed structure of V2OF5 at the meta-GGA r2SCAN level of DFT.

Cell and atoms, written as POSCAR:
```
V2OF5
1.0
5.305 0.000 0.000
-0.441 7.365 0.000
-2.394 -3.626 7.560
V O F
6 3 15
direct
0.000 0.000 0.000
0.010 0.504 0.008
0.312 0.845 0.685
0.356 0.337 0.665
0.636 0.668 0.325
0.664 0.176 0.347
0.210 0.970 0.864
0.362 0.621 0.151
0.555 0.313 0.541
0.032 0.294 0.472
0.038 0.292 0.083
0.098 0.349 0.803
0.277 0.048 0.596
0.296 0.043 0.205
0.372 0.623 0.753
0.438 0.689 0.487
0.623 0.380 0.266
0.626 0.378 0.881
0.688 0.967 0.808
0.706 0.959 0.416
0.765 0.014 0.138
0.900 0.658 0.207
0.943 0.708 0.929
0.957 0.707 0.530
```

Calculated values
- Symmetry: P1, No. 1

---

5.
Computed, not measured: a relaxed structure of V2OF5 at the meta-GGA r2SCAN level of DFT.

Cell and atoms, written as POSCAR:
```
V2OF5
1.0
5.077 0.000 0.000
-0.031 5.281 0.000
-2.470 -1.986 11.086
V O F
6 3 15
direct
0.000 0.000 0.000
0.134 0.167 0.333
0.324 0.361 0.664
0.477 0.526 0.998
0.656 0.695 0.332
0.804 0.837 0.667
0.196 0.750 0.023
0.627 0.585 0.689
0.958 0.915 0.355
0.010 0.952 0.829
0.103 0.641 0.626
0.294 0.438 0.829
0.305 0.242 0.035
0.327 0.466 0.299
0.342 0.268 0.497
0.432 0.972 0.290
0.530 0.076 0.701
0.622 0.786 0.495
0.660 0.806 0.958
0.670 0.604 0.164
0.771 0.299 0.964
0.863 0.410 0.369
0.954 0.117 0.162
0.993 0.133 0.629
```

Calculated values
- Symmetry: P1, No. 1

---

6.
Computed, not measured: a relaxed structure of V4O7F5 at the meta-GGA r2SCAN level of DFT.

Cell and atoms, written as POSCAR:
```
V4O7F5
1.0
5.114 0.000 0.000
2.496 4.577 0.000
2.464 1.547 8.367
V O F
4 7 5
direct
0.000 0.000 0.000
0.169 0.259 0.244
0.409 0.489 0.503
0.701 0.698 0.757
0.013 0.585 0.136
0.041 0.053 0.188
0.055 0.627 0.602
0.367 0.825 0.930
0.377 0.379 0.353
0.553 0.560 0.679
0.908 0.349 0.899
0.422 0.842 0.395
0.518 0.106 0.639
0.539 0.122 0.109
0.869 0.896 0.856
0.883 0.312 0.432
```

Calculated values
- Symmetry: P1, No. 1

---

7.
Computed, not measured: a relaxed structure of V2OF5 at the meta-GGA r2SCAN level of DFT.

Cell and atoms, written as POSCAR:
```
V2OF5
1.0
4.394 -2.514 0.000
4.394 2.514 0.000
-2.956 0.000 8.864
V O F
4 2 10
direct
0.115 0.115 0.368
0.414 0.342 0.131
0.658 0.586 0.869
0.885 0.885 0.632
0.764 0.156 0.255
0.844 0.236 0.745
0.030 0.582 0.001
0.129 0.871 0.500
0.153 0.360 0.253
0.253 0.629 0.756
0.371 0.747 0.244
0.418 0.970 0.999
0.505 0.091 0.493
0.633 0.367 0.000
0.640 0.847 0.747
0.909 0.495 0.507
```

Calculated values
- Symmetry: C2, No. 5

---

8.
Computed, not measured: a relaxed structure of V6O11F at the meta-GGA r2SCAN level of DFT.

Cell and atoms, written as POSCAR:
```
V6O11F
1.0
4.567 0.000 0.000
0.085 5.399 0.000
0.086 0.811 7.281
V O F
6 11 1
direct
0.000 0.000 0.000
0.009 0.680 0.334
0.032 0.343 0.679
0.489 0.179 0.317
0.500 0.816 0.673
0.522 0.514 0.008
0.211 0.372 0.440
0.214 0.038 0.767
0.214 0.704 0.105
0.306 0.204 0.104
0.310 0.538 0.770
0.321 0.880 0.439
0.711 0.810 0.901
0.712 0.470 0.241
0.807 0.973 0.241
0.810 0.309 0.900
0.816 0.633 0.573
0.711 0.137 0.569
```

Calculated values
- Symmetry: P1, No. 1

---

9.
Computed, not measured: a relaxed structure of V2OF5 at the meta-GGA r2SCAN level of DFT.

Cell and atoms, written as POSCAR:
```
V2OF5
1.0
5.078 0.000 0.000
2.513 4.655 0.000
2.429 -0.790 16.691
V O F
8 4 20
direct
0.000 0.000 0.000
0.000 0.442 0.506
0.259 0.810 0.635
0.268 0.366 0.132
0.503 0.712 0.254
0.505 0.224 0.754
0.764 0.584 0.883
0.766 0.095 0.385
0.297 0.532 0.692
0.353 0.532 0.213
0.803 0.290 0.942
0.853 0.257 0.467
0.190 0.672 0.540
0.196 0.878 0.347
0.204 0.382 0.846
0.206 0.178 0.041
0.240 0.665 0.062
0.243 0.146 0.573
0.280 0.057 0.196
0.327 0.005 0.722
0.331 0.809 0.911
0.341 0.306 0.418
0.693 0.144 0.096
0.693 0.634 0.597
0.693 0.926 0.292
0.704 0.423 0.790
0.750 0.403 0.318
0.752 0.894 0.817
0.784 0.780 0.444
0.816 0.776 0.970
0.825 0.055 0.665
0.842 0.576 0.165
```

Calculated values
- Symmetry: P1, No. 1

---

10.
Computed, not measured: a relaxed structure of VOF2 at the meta-GGA r2SCAN level of DFT.

Cell and atoms, written as POSCAR:
```
VOF2
1.0
5.079 0.000 0.000
2.509 4.432 0.000
0.128 -0.048 13.089
V O F
6 6 12
direct
0.000 0.000 0.000
0.016 0.970 0.508
0.379 0.253 0.336
0.404 0.315 0.834
0.688 0.624 0.165
0.707 0.647 0.671
0.288 0.065 0.419
0.602 0.991 0.254
0.610 0.397 0.753
0.712 0.067 0.922
0.776 0.327 0.089
0.799 0.901 0.588
0.019 0.395 0.260
0.024 0.586 0.761
0.105 0.651 0.416
0.121 0.245 0.921
0.308 0.649 0.925
0.356 0.920 0.087
0.385 0.708 0.582
0.422 0.576 0.257
0.427 0.982 0.754
0.691 0.251 0.418
0.966 0.725 0.091
0.979 0.315 0.588
```

Calculated values
- Symmetry: P1, No. 1

---

11.
Computed, not measured: a relaxed structure of VOF2 at the meta-GGA r2SCAN level of DFT.

Cell and atoms, written as POSCAR:
```
VOF2
1.0
5.052 0.000 0.000
-0.017 5.292 0.000
-2.459 -2.110 11.046
V O F
6 6 12
direct
0.000 0.000 0.000
0.152 0.107 0.328
0.333 0.330 0.669
0.486 0.506 0.993
0.654 0.648 0.332
0.819 0.834 0.661
0.265 0.196 0.024
0.390 0.900 0.301
0.599 0.525 0.696
0.655 0.749 0.971
0.917 0.857 0.355
0.985 0.078 0.637
0.065 0.572 0.621
0.185 0.696 0.040
0.265 0.399 0.831
0.316 0.208 0.498
0.326 0.410 0.300
0.513 0.021 0.704
0.604 0.715 0.499
0.653 0.527 0.163
0.731 0.241 0.951
0.858 0.351 0.365
0.940 0.068 0.163
0.989 0.864 0.831
```

Calculated values
- Symmetry: P1, No. 1

---

12.
Computed, not measured: a relaxed structure of VOF3 at the meta-GGA r2SCAN level of DFT.

Cell and atoms, written as POSCAR:
```
VOF3
1.0
8.079 0.000 0.000
0.000 8.079 0.000
0.000 0.000 3.907
V O F
4 4 12
direct
0.137 0.363 0.169
0.363 0.863 0.831
0.637 0.137 0.831
0.863 0.637 0.169
0.128 0.372 0.760
0.372 0.872 0.240
0.628 0.128 0.240
0.872 0.628 0.760
0.101 0.601 0.249
0.111 0.155 0.252
0.155 0.889 0.748
0.345 0.389 0.252
0.389 0.655 0.748
0.399 0.101 0.751
0.601 0.899 0.751
0.611 0.345 0.748
0.655 0.611 0.252
0.845 0.111 0.748
0.889 0.845 0.252
0.899 0.399 0.249
```

Calculated values
- Symmetry: P-42_1m, No. 113

---

13.
Computed, not measured: a relaxed structure of V2O3F3 at the meta-GGA r2SCAN level of DFT.

Cell and atoms, written as POSCAR:
```
V2O3F3
1.0
5.115 0.000 0.000
2.532 4.472 0.000
0.178 0.177 12.953
V O F
6 9 9
direct
0.000 0.000 0.000
0.010 0.970 0.512
0.313 0.333 0.841
0.413 0.308 0.340
0.670 0.653 0.666
0.726 0.672 0.178
0.039 0.539 0.761
0.137 0.214 0.931
0.376 0.731 0.593
0.462 0.528 0.258
0.611 0.959 0.259
0.707 0.204 0.422
0.713 0.068 0.930
0.807 0.872 0.592
0.951 0.723 0.096
0.030 0.384 0.263
0.120 0.622 0.425
0.278 0.050 0.426
0.293 0.642 0.925
0.390 0.855 0.093
0.458 0.964 0.766
0.623 0.379 0.761
0.805 0.293 0.101
0.960 0.303 0.593
```

Calculated values
- Symmetry: P1, No. 1

---

14.
Computed, not measured: a relaxed structure of V2O3F at the meta-GGA r2SCAN level of DFT.

Cell and atoms, written as POSCAR:
```
V2O3F
1.0
11.807 0.000 0.000
0.000 3.159 3.337
0.000 -3.159 3.337
V O F
8 12 4
direct
0.000 0.000 0.000
0.125 0.459 0.459
0.249 0.005 0.005
0.374 0.474 0.474
0.500 0.935 0.935
0.626 0.474 0.474
0.751 0.005 0.005
0.875 0.459 0.459
0.000 0.280 0.280
0.127 0.183 0.780
0.127 0.780 0.183
0.249 0.281 0.281
0.375 0.176 0.779
0.375 0.779 0.176
0.500 0.671 0.671
0.625 0.176 0.779
0.625 0.779 0.176
0.751 0.281 0.281
0.873 0.183 0.780
0.873 0.780 0.183
0.000 0.680 0.680
0.250 0.679 0.679
0.500 0.274 0.274
0.750 0.679 0.679
```

Calculated values
- Symmetry: Amm2, No. 38

---

How do the records compare in formation enthalpy at 0 K? In the order shown, they have -3.1137, -2.8345, -2.6686, -3.1124, -3.1082, -2.6804, -3.1113, -2.6861, -3.1129, -2.9463, -2.9412, -2.7781, -2.7718, -2.7899 eV per atom.